Record 1
Below is a relaxed KBe2B3O7 crystal, with properties calculated at the PBE level.

Output
Its calculated volume is 11.07 Å³ per atom. For the total DFT energy (no corrections), the calculation gives -96.19 eV per formula unit. The value obtained for the magnetic moment is 0.00 μB/cell.

Cell: 6.9316 6.9316 6.6552 Å, 71.71 71.71 81.65°
Fractional coordinates of all 26 atoms:
K1 0.1788 0.8212 0.7500
K2 0.8212 0.1788 0.2500
Be1 0.0546 0.6355 0.3428
Be2 0.3645 0.9454 0.1572
Be3 0.9454 0.3645 0.6572
Be4 0.6355 0.0546 0.8428
B1 0.4490 0.5510 0.2500
B2 0.5510 0.4490 0.7500
B3 0.7704 0.7320 0.6832
B4 0.2680 0.2296 0.8168
B5 0.2296 0.2680 0.3168
B6 0.7320 0.7704 0.1832
O1 0.2972 0.7028 0.2500
O2 0.7028 0.2972 0.7500
O3 0.9441 0.6138 0.6153
O4 0.3862 0.0559 0.8847
O5 0.0559 0.3862 0.3847
O6 0.6138 0.9441 0.1153
O7 0.5808 0.6469 0.7357
O8 0.3531 0.4192 0.7643
O9 0.4192 0.3531 0.2643
O10 0.6469 0.5808 0.2357
O11 0.7776 0.9194 0.6975
O12 0.0806 0.2224 0.8025
O13 0.2224 0.0806 0.3025
O14 0.9194 0.7776 0.1975

Record 2
Below is a relaxed KBe2B3O7 crystal, with properties calculated at the PBE level.

Output
Its calculated volume is 11.61 Å³ per atom. For the total DFT energy (no corrections), the calculation gives -96.07 eV per formula unit. The value obtained for the magnetic moment is 0.00 μB/cell.

Cell: 4.4172 7.7205 17.6988 Å, 90.00 90.00 90.00°
Fractional coordinates of all 52 atoms:
K1 0.1058 0.0000 0.3627
K2 0.6058 0.5000 0.6373
K3 0.1772 0.5000 0.1471
K4 0.6772 0.0000 0.8529
Be1 0.6261 0.3119 0.4585
Be2 0.6261 0.6881 0.4585
Be3 0.1261 0.1881 0.5415
Be4 0.1261 0.8119 0.5415
Be5 0.7709 0.1759 0.0374
Be6 0.7709 0.8241 0.0374
Be7 0.2709 0.3241 0.9626
Be8 0.2709 0.6759 0.9626
B1 0.1243 0.5000 0.4802
B2 0.6243 0.0000 0.5198
B3 0.2656 0.0000 0.0090
B4 0.7656 0.5000 0.9910
B5 0.5454 0.3400 0.3154
B6 0.5454 0.6600 0.3154
B7 0.0454 0.1600 0.6846
B8 0.0454 0.8400 0.6846
B9 0.6713 0.1649 0.1927
B10 0.6713 0.8351 0.1927
B11 0.1713 0.3351 0.8073
B12 0.1713 0.6649 0.8073
O1 0.8119 0.5000 0.4728
O2 0.3119 0.0000 0.5272
O3 0.2753 0.3431 0.4871
O4 0.2753 0.6569 0.4871
O5 0.7753 0.1569 0.5129
O6 0.7753 0.8431 0.5129
O7 0.9539 0.0000 0.0097
O8 0.4539 0.5000 0.9903
O9 0.4201 0.1553 0.0071
O10 0.4201 0.8447 0.0071
O11 0.9201 0.3447 0.9929
O12 0.9201 0.6553 0.9929
O13 0.6374 0.2387 0.3727
O14 0.6374 0.7613 0.3727
O15 0.1374 0.2613 0.6273
O16 0.1374 0.7387 0.6273
O17 0.4080 0.5000 0.3307
O18 0.9080 0.0000 0.6693
O19 0.5733 0.3020 0.2389
O20 0.5733 0.6980 0.2389
O21 0.0733 0.1980 0.7611
O22 0.0733 0.8020 0.7611
O23 0.6317 0.0000 0.2241
O24 0.1317 0.5000 0.7759
O25 0.7839 0.2064 0.1255
O26 0.7839 0.7936 0.1255
O27 0.2839 0.2936 0.8745
O28 0.2839 0.7064 0.8745

Record 3
Below is a relaxed KBe2B3O7 crystal, with properties calculated at the PBE level.

Output
Its calculated volume is 11.43 Å³ per atom. For the total DFT energy (no corrections), the calculation gives -96.14 eV per formula unit. The value obtained for the magnetic moment is 0.00 μB/cell.

Cell: 13.4153 7.5709 9.4333 Å, 68.57 90.00 90.00°
Fractional coordinates of all 78 atoms:
K1 0.4417 0.3701 0.2332
K2 0.9417 0.6299 0.7668
K3 0.0887 0.3791 0.2338
K4 0.5887 0.6209 0.7662
K5 0.5171 0.0019 0.9945
K6 0.0171 0.9981 0.0055
Be1 0.6040 0.9750 0.4141
Be2 0.1040 0.0250 0.5859
Be3 0.4370 0.0299 0.5764
Be4 0.9370 0.9701 0.4236
Be5 0.4362 0.3961 0.5837
Be6 0.9362 0.6039 0.4163
Be7 0.6045 0.5988 0.4235
Be8 0.1045 0.4012 0.5765
Be9 0.7719 0.3987 0.5909
Be10 0.2719 0.6013 0.4091
Be11 0.7694 0.0265 0.5901
Be12 0.2694 0.9735 0.4099
B1 0.6042 0.2355 0.5358
B2 0.1042 0.7645 0.4642
B3 0.2711 0.2360 0.5256
B4 0.7711 0.7640 0.4744
B5 0.4355 0.7673 0.4605
B6 0.9355 0.2327 0.5395
B7 0.3557 0.3458 0.8478
B8 0.8557 0.6542 0.1522
B9 0.2624 0.1913 0.0870
B10 0.7624 0.8087 0.9130
B11 0.1766 0.3564 0.8425
B12 0.6766 0.6436 0.1575
B13 0.7712 0.3098 0.9127
B14 0.2712 0.6902 0.0873
B15 0.6770 0.1546 0.1497
B16 0.1770 0.8454 0.8503
B17 0.8586 0.1556 0.1572
B18 0.3586 0.8444 0.8428
O1 0.4877 0.9187 0.4741
O2 0.9877 0.0813 0.5259
O3 0.6549 0.0865 0.5181
O4 0.1549 0.9135 0.4819
O5 0.8347 0.2212 0.5692
O6 0.3347 0.7788 0.4308
O7 0.6541 0.3950 0.5365
O8 0.1541 0.6050 0.4635
O9 0.4879 0.6013 0.4837
O10 0.9879 0.3987 0.5163
O11 0.5009 0.2284 0.5481
O12 0.0009 0.7716 0.4519
O13 0.3227 0.3978 0.5162
O14 0.8227 0.6022 0.4838
O15 0.3243 0.0929 0.5020
O16 0.8243 0.9071 0.4980
O17 0.1683 0.2271 0.5468
O18 0.6683 0.7729 0.4532
O19 0.2592 0.1113 0.2362
O20 0.7592 0.8887 0.7638
O21 0.3538 0.2330 0.0057
O22 0.8538 0.7670 0.9943
O23 0.1733 0.2449 0.0003
O24 0.6733 0.7551 0.9997
O25 0.4381 0.3559 0.7653
O26 0.9381 0.6441 0.2347
O27 0.2678 0.4388 0.7849
O28 0.7678 0.5612 0.2151
O29 0.0964 0.3753 0.7543
O30 0.5964 0.6247 0.2457
O31 0.7743 0.3964 0.7630
O32 0.2743 0.6036 0.2370
O33 0.8606 0.2705 0.0002
O34 0.3606 0.7295 0.9998
O35 0.6788 0.2661 0.9922
O36 0.1788 0.7339 0.0078
O37 0.9406 0.1079 0.2434
O38 0.4406 0.8921 0.7566
O39 0.7670 0.0826 0.2165
O40 0.2670 0.9174 0.7835
O41 0.5933 0.1080 0.2323
O42 0.0933 0.8920 0.7677

Record 4
Below is a relaxed Li14Be6B9O27 crystal, with properties calculated at the PBE level.

Output
Its calculated volume is 9.07 Å³ per atom. For the total DFT energy (no corrections), the calculation gives -378.03 eV per formula unit. The value obtained for the magnetic moment is 2.00 μB/cell.

Cell: 7.8290 7.8290 19.1396 Å, 90.00 90.00 120.00°
Fractional coordinates of all 112 atoms:
Li1 0.6976 0.0235 0.8305
Li2 0.3024 0.9765 0.1695
Li3 0.3259 0.3024 0.8305
Li4 0.3024 0.9765 0.3305
Li5 0.6741 0.6976 0.1695
Li6 0.6976 0.0235 0.6695
Li7 0.9765 0.6741 0.8305
Li8 0.6741 0.6976 0.3305
Li9 0.0235 0.3259 0.1695
Li10 0.3259 0.3024 0.6695
Li11 0.0235 0.3259 0.3305
Li12 0.9765 0.6741 0.6695
Li13 0.6667 0.3333 0.7500
Li14 0.3333 0.6667 0.2500
Li15 0.3333 0.6667 0.7500
Li16 0.6667 0.3333 0.2500
Li17 0.6764 0.0276 0.9640
Li18 0.3236 0.9724 0.0360
Li19 0.3512 0.3236 0.9640
Li20 0.3236 0.9724 0.4640
Li21 0.6488 0.6764 0.0360
Li22 0.6764 0.0276 0.5360
Li23 0.9724 0.6488 0.9640
Li24 0.6488 0.6764 0.4640
Li25 0.0276 0.3512 0.0360
Li26 0.3512 0.3236 0.5360
Li27 0.0276 0.3512 0.4640
Li28 0.9724 0.6488 0.5360
Be1 0.6502 0.6754 0.8894
Be2 0.3498 0.3246 0.1106
Be3 0.0252 0.3498 0.8894
Be4 0.3498 0.3246 0.3894
Be5 0.9748 0.6502 0.1106
Be6 0.6502 0.6754 0.6106
Be7 0.3246 0.9748 0.8894
Be8 0.9748 0.6502 0.3894
Be9 0.6754 0.0252 0.1106
Be10 0.0252 0.3498 0.6106
Be11 0.6754 0.0252 0.3894
Be12 0.3246 0.9748 0.6106
B1 0.6667 0.3333 0.8928
B2 0.3333 0.6667 0.1072
B3 0.3333 0.6667 0.3928
B4 0.6667 0.3333 0.6072
B5 0.0000 0.0000 0.9071
B6 0.0000 0.0000 0.0929
B7 0.0000 0.0000 0.4071
B8 0.0000 0.0000 0.5929
B9 0.6776 0.6992 0.7500
B10 0.3224 0.3008 0.2500
B11 0.0216 0.3224 0.7500
B12 0.9784 0.6776 0.2500
B13 0.3008 0.9784 0.7500
B14 0.6992 0.0216 0.2500
B15 0.6667 0.3333 0.4486
B16 0.3333 0.6667 0.5514
B17 0.3333 0.6667 0.9486
B18 0.6667 0.3333 0.0514
O1 0.8210 0.2003 0.7500
O2 0.1790 0.7997 0.2500
O3 0.3793 0.1790 0.7500
O4 0.6207 0.8210 0.2500
O5 0.7997 0.6207 0.7500
O6 0.2003 0.3793 0.2500
O7 0.9106 0.1137 0.9066
O8 0.0894 0.8863 0.0934
O9 0.2031 0.0894 0.9066
O10 0.0894 0.8863 0.4066
O11 0.7969 0.9106 0.0934
O12 0.9106 0.1137 0.5934
O13 0.8863 0.7969 0.9066
O14 0.7969 0.9106 0.4066
O15 0.1137 0.2031 0.0934
O16 0.2031 0.0894 0.5934
O17 0.1137 0.2031 0.4066
O18 0.8863 0.7969 0.5934
O19 0.6080 0.7387 0.8115
O20 0.3920 0.2613 0.1885
O21 0.1307 0.3920 0.8115
O22 0.3920 0.2613 0.3115
O23 0.8693 0.6080 0.1885
O24 0.6080 0.7387 0.6885
O25 0.2613 0.8693 0.8115
O26 0.8693 0.6080 0.3115
O27 0.7387 0.1307 0.1885
O28 0.1307 0.3920 0.6885
O29 0.7387 0.1307 0.3115
O30 0.2613 0.8693 0.6885
O31 0.8711 0.4324 0.8923
O32 0.1289 0.5676 0.1077
O33 0.5613 0.1289 0.8923
O34 0.1289 0.5676 0.3923
O35 0.4387 0.8711 0.1077
O36 0.8711 0.4324 0.6077
O37 0.5676 0.4387 0.8923
O38 0.4387 0.8711 0.3923
O39 0.4324 0.5613 0.1077
O40 0.5613 0.1289 0.6077
O41 0.4324 0.5613 0.3923
O42 0.5676 0.4387 0.6077
O43 0.5344 0.7332 0.9498
O44 0.4656 0.2668 0.0502
O45 0.1988 0.4656 0.9498
O46 0.4656 0.2668 0.4498
O47 0.8012 0.5344 0.0502
O48 0.5344 0.7332 0.5502
O49 0.2668 0.8012 0.9498
O50 0.8012 0.5344 0.4498
O51 0.7332 0.1988 0.0502
O52 0.1988 0.4656 0.5502
O53 0.7332 0.1988 0.4498
O54 0.2668 0.8012 0.5502

Record 5
Below is a relaxed LiBeBO3 crystal, with properties calculated at the PBE level.

Output
Its calculated volume is 8.78 Å³ per atom. For the total DFT energy (no corrections), the calculation gives -42.26 eV per formula unit. The value obtained for the magnetic moment is 0.00 μB/cell.

Cell: 4.6376 4.7067 6.0068 Å, 68.03 72.60 61.15°
Fractional coordinates of all 12 atoms:
Li1 0.7436 0.1328 0.6620
Li2 0.2564 0.8672 0.3380
Be1 0.3559 0.7260 0.8459
Be2 0.6441 0.2740 0.1541
B1 0.0705 0.4006 0.7722
B2 0.9295 0.5994 0.2278
O1 0.3278 0.0977 0.7613
O2 0.6722 0.9023 0.2387
O3 0.1266 0.6871 0.7088
O4 0.8734 0.3129 0.2912
O5 0.7431 0.4218 0.8455
O6 0.2569 0.5782 0.1545